Below is MgFe12O12F12 after structural relaxation, with properties calculated at the GGA+U level.

Cell lengths 9.7471, 3.1001, 14.8199 Å; angles 90.00, 92.52, 90.00 degrees
Closest atoms and distances in Å follow each position.
Sites, in units of the cell vectors:
Mg  0.0000  0.0000  0.0000  1 O 1.96, 5 F 2.00-2.11
Fe  0.0094  0.5000  0.8120  6 F 2.05-2.16
Fe  0.2368  0.0000  0.3343  3 O 1.93-1.94, 1 F 2.15
Fe  0.2764  0.0000  0.6572  3 O 1.93-1.94, 2 F 2.14
Fe  0.3188  0.0000  0.9933  3 O 1.87-1.90
Fe  0.4490  0.5000  0.1820  4 O 1.94-2.00, 2 F 2.17
Fe  0.4952  0.5000  0.5141  3 O 1.95, 3 F 2.11-2.14
Fe  0.4962  0.5000  0.8216  3 O 1.98-2.05, 3 F 2.04-2.18
Fe  0.7095  0.0000  0.0939  3 O 1.91-1.97
Fe  0.7438  0.0000  0.3423  3 O 1.96-1.97, 3 F 2.13-2.14
Fe  0.7509  0.0000  0.6475  3 O 1.94-1.95, 3 F 2.13-2.15
Fe  0.9722  0.5000  0.5008  3 O 1.96-1.98, 3 F 2.13-2.15
Fe  0.9730  0.5000  0.2055  5 O 1.95-2.11
O  0.0723  0.0000  0.2563  3 Fe 1.94-1.96
O  0.3249  0.5000  0.2844  3 Fe 1.93-1.98
O  0.3420  0.5000  0.5942  3 Fe 1.93-1.95
O  0.3586  0.0000  0.1180  3 Fe 1.87-2.00
O  0.3766  0.5000  0.9316  3 Fe 1.90-2.05
O  0.4053  0.0000  0.7610  3 Fe 1.94-1.98
O  0.5917  0.0000  0.5645  3 Fe 1.94-1.95
O  0.5955  0.5000  0.0971  3 Fe 1.91-1.94
O  0.8083  0.5000  0.2757  3 Fe 1.95-1.96
O  0.8491  0.5000  0.6034  3 Fe 1.95-1.98
O  0.8889  0.0000  0.4390  3 Fe 1.96-1.97
O  0.9106  0.0000  0.1162  1 Mg 1.96, 3 Fe 1.97-2.11
F  0.0892  0.0000  0.5663  3 Fe 2.13-2.22
F  0.1162  0.0000  0.8863  1 Mg 2.07, 2 Fe 2.14
F  0.1396  0.5000  0.0327  2 Mg 2.11
F  0.1451  0.5000  0.4151  3 Fe 2.15-2.17
F  0.1601  0.5000  0.7179  3 Fe 2.07-2.14
F  0.3950  0.0000  0.4400  3 Fe 2.11-2.15
F  0.5603  0.0000  0.2571  3 Fe 2.14-2.17
F  0.6051  0.0000  0.8782  2 Fe 2.04
F  0.6353  0.5000  0.4066  3 Fe 2.13-2.14
F  0.6585  0.5000  0.7246  3 Fe 2.15-2.18
F  0.8919  0.0000  0.7614  3 Fe 2.05-2.13
F  0.9072  0.5000  0.9380  2 Mg 2.00, 1 Fe 2.16

Computed properties:
Total magnetization   57.9 μB per formula unit
Energy of formation   -2.054 eV/atom
Space-group type   Pm (6)